Entry 1:
A plane-wave DFT calculation with PBE was carried out for a relaxed structure of RbMg6W. Values from VASP.

Properties
- Total magnetization: 0.001 μB/f.u.
- Offset from the most stable computed form: 0 kJ/mol of formula units
- DFT formation energy: 0.494 eV per atom

```
&SYSTEM
  ibrav = 0, nat = 8, ntyp = 3
/
ATOMIC_SPECIES
Rb 85.47 Rb.upf
Mg 24.30 Mg.upf
W 183.84 W.upf
CELL_PARAMETERS angstrom
6.741 0.000 0.000
0.000 6.741 0.000
0.000 0.000 4.349
ATOMIC_POSITIONS crystal
Rb 0.000 0.000 0.000
Mg 0.000 0.500 0.000
Mg 0.292 0.292 0.500
Mg 0.292 0.708 0.500
Mg 0.500 0.000 0.000
Mg 0.708 0.292 0.500
Mg 0.708 0.708 0.500
W 0.500 0.500 0.000
```


Entry 2:
A plane-wave DFT calculation with PBE was carried out for a relaxed structure of RbMg6W. Values from VASP.

Properties
- Total magnetization: 0.001 μB/f.u.
- Offset from the most stable computed form: 31 kJ/mol of formula units
- DFT formation energy: 0.534 eV per atom

```
&SYSTEM
  ibrav = 0, nat = 8, ntyp = 3
/
ATOMIC_SPECIES
Rb 85.47 Rb.upf
Mg 24.30 Mg.upf
W 183.84 W.upf
CELL_PARAMETERS angstrom
6.441 0.000 0.000
-3.220 5.578 0.000
0.000 0.000 5.118
ATOMIC_POSITIONS crystal
Rb 0.000 0.000 0.000
Mg 0.037 0.519 0.000
Mg 0.353 0.177 0.500
Mg 0.481 0.519 0.000
Mg 0.481 0.963 0.000
Mg 0.823 0.177 0.500
Mg 0.823 0.647 0.500
W 0.333 0.667 0.500
```


Entry 3:
A plane-wave DFT calculation with PBE was carried out for a relaxed structure of RbYMg6. Values from VASP.

Properties
- Total magnetization: 0.000 μB/f.u.
- Offset from the most stable computed form: 0 kJ/mol of formula units
- DFT formation energy: 0.232 eV per atom

```
&SYSTEM
  ibrav = 0, nat = 8, ntyp = 3
/
ATOMIC_SPECIES
Rb 85.47 Rb.upf
Y 88.91 Y.upf
Mg 24.30 Mg.upf
CELL_PARAMETERS angstrom
5.472 0.000 0.000
0.000 3.528 5.883
0.000 -3.528 5.883
ATOMIC_POSITIONS crystal
Rb 0.000 0.000 0.000
Y 0.500 0.201 0.201
Mg 0.000 0.027 0.497
Mg 0.000 0.497 0.027
Mg 0.000 0.517 0.517
Mg 0.500 0.204 0.673
Mg 0.500 0.673 0.204
Mg 0.500 0.694 0.694
```


Entry 4:
A plane-wave DFT calculation with PBE was carried out for a relaxed structure of RbYMg6. Values from VASP.

Properties
- Total magnetization: 0.001 μB/f.u.
- Offset from the most stable computed form: 7 kJ/mol of formula units
- DFT formation energy: 0.241 eV per atom

```
&SYSTEM
  ibrav = 0, nat = 16, ntyp = 3
/
ATOMIC_SPECIES
Mg 24.30 Mg.upf
Y 88.91 Y.upf
Rb 85.47 Rb.upf
CELL_PARAMETERS angstrom
-2.697 1.664 -4.349
3.427 -5.044 -4.055
-8.624 -7.768 2.375
ATOMIC_POSITIONS crystal
Mg 0.000 0.500 0.645
Mg 0.000 0.774 0.928
Mg 0.000 0.000 0.664
Mg 0.000 0.000 0.145
Y 0.500 0.000 0.841
Y 0.500 0.500 0.341
Mg 0.500 0.745 0.081
Mg 0.000 0.274 0.428
Rb 0.500 0.000 0.333
Rb 0.500 0.500 0.833
Mg 0.000 0.726 0.428
Mg 0.000 0.226 0.928
Mg 0.500 0.245 0.581
Mg 0.500 0.755 0.581
Mg 0.000 0.500 0.164
Mg 0.500 0.255 0.081
```


Entry 5:
A plane-wave DFT calculation with PBE was carried out for a relaxed structure of RbMg14Zn. Values from VASP.

Properties
- Total magnetization: 0.000 μB/f.u.
- Offset from the most stable computed form: 0 kJ/mol of formula units
- DFT formation energy: 0.131 eV per atom

```
&SYSTEM
  ibrav = 0, nat = 16, ntyp = 3
/
ATOMIC_SPECIES
Rb 85.47 Rb.upf
Mg 24.30 Mg.upf
Zn 65.41 Zn.upf
CELL_PARAMETERS angstrom
10.614 0.000 0.000
0.000 3.263 5.697
0.000 -3.263 5.697
ATOMIC_POSITIONS crystal
Rb 0.000 0.000 0.000
Mg 0.000 0.012 0.493
Mg 0.000 0.493 0.012
Mg 0.239 0.659 0.659
Mg 0.264 0.170 0.650
Mg 0.264 0.650 0.170
Mg 0.268 0.169 0.169
Mg 0.500 0.497 0.497
Mg 0.500 0.500 0.992
Mg 0.500 0.992 0.500
Mg 0.500 0.996 0.996
Mg 0.732 0.169 0.169
Mg 0.736 0.170 0.650
Mg 0.736 0.650 0.170
Mg 0.761 0.659 0.659
Zn 0.000 0.480 0.480
```


Entry 6:
A plane-wave DFT calculation with PBE was carried out for a relaxed structure of RbMg6Zn. Values from VASP.

Properties
- Total magnetization: 0.001 μB/f.u.
- DFT formation energy: 0.227 eV per atom

```
&SYSTEM
  ibrav = 0, nat = 16, ntyp = 3
/
ATOMIC_SPECIES
Mg 24.30 Mg.upf
Rb 85.47 Rb.upf
Zn 65.41 Zn.upf
CELL_PARAMETERS angstrom
5.218 0.000 0.000
0.000 7.041 0.000
0.000 0.000 11.737
ATOMIC_POSITIONS crystal
Mg 0.500 0.259 0.417
Mg 0.000 0.781 0.069
Mg 0.000 0.219 0.069
Mg 0.500 0.741 0.417
Rb 0.500 0.000 0.670
Mg 0.000 0.000 0.334
Rb 0.500 0.500 0.170
Mg 0.500 0.500 0.663
Mg 0.000 0.500 0.834
Mg 0.500 0.759 0.917
Zn 0.000 0.500 0.359
Mg 0.500 0.000 0.163
Mg 0.000 0.281 0.569
Zn 0.000 0.000 0.859
Mg 0.000 0.719 0.569
Mg 0.500 0.241 0.917
```


Entry 7:
A plane-wave DFT calculation with PBE was carried out for a relaxed structure of RbMg14Zn. Values from VASP.

Properties
- Total magnetization: 0.003 μB/f.u.
- Offset from the most stable computed form: 17 kJ/mol of formula units
- DFT formation energy: 0.142 eV per atom

```
&SYSTEM
  ibrav = 0, nat = 16, ntyp = 3
/
ATOMIC_SPECIES
Rb 85.47 Rb.upf
Mg 24.30 Mg.upf
Zn 65.41 Zn.upf
CELL_PARAMETERS angstrom
6.532 0.000 0.000
-3.266 5.657 0.000
0.000 0.000 10.625
ATOMIC_POSITIONS crystal
Rb 0.000 0.000 0.000
Mg 0.008 0.504 0.000
Mg 0.170 0.340 0.270
Mg 0.170 0.340 0.730
Mg 0.170 0.830 0.270
Mg 0.170 0.830 0.730
Mg 0.496 0.504 0.000
Mg 0.496 0.992 0.000
Mg 0.502 0.004 0.500
Mg 0.502 0.498 0.500
Mg 0.660 0.830 0.270
Mg 0.660 0.830 0.730
Mg 0.667 0.333 0.245
Mg 0.667 0.333 0.755
Mg 0.996 0.498 0.500
Zn 0.000 0.000 0.500
```


Entry 8:
A plane-wave DFT calculation with PBE was carried out for a relaxed structure of RbMg6Zr. Values from VASP.

Properties
- Total magnetization: 0.558 μB/f.u.
- Offset from the most stable computed form: 0 kJ/mol of formula units
- DFT formation energy: 0.247 eV per atom

```
&SYSTEM
  ibrav = 0, nat = 8, ntyp = 3
/
ATOMIC_SPECIES
Rb 85.47 Rb.upf
Mg 24.30 Mg.upf
Zr 91.22 Zr.upf
CELL_PARAMETERS angstrom
5.250 0.000 0.000
0.000 3.422 5.828
0.000 -3.422 5.828
ATOMIC_POSITIONS crystal
Rb 0.000 0.000 0.000
Mg 0.000 0.020 0.491
Mg 0.000 0.490 0.490
Mg 0.000 0.491 0.020
Mg 0.500 0.353 0.816
Mg 0.500 0.815 0.815
Mg 0.500 0.816 0.353
Zr 0.500 0.330 0.330
```


Which value of DFT formation energy does entry 7 give? 0.142 eV per atom


Which of these has the highest DFT formation energy? number 2